No. 1
Here is crystalline Li4Mn5Co3O16 at its relaxed geometry from the Materials Project database. Energies are from GGA+U.

Output
For the energy with MP2020 corrections, the calculation gives -205.61 eV/f.u. For the total DFT energy (no corrections), the calculation gives -6.48 eV/atom. Its space-group type is Cm (8). Its formation energy is -51.68 eV per formula unit.

abc: 5.7391 5.7391 9.4087
angles: 89.16 89.16 59.89
Closest atoms and distances in Å follow each position.
Fractional coordinates of all 28 atoms:
Li1 0.3330 0.3330 0.0983  4 O 1.94-1.95
Li2 0.9935 0.9935 0.0006  4 O 1.76-1.89
Li3 0.9928 0.9928 0.5072  4 O 1.77-1.93
Li4 0.6683 0.6683 0.6084  4 O 1.88-2.05
Mn1 0.3377 0.3377 0.5160  6 O 2.00-2.18
Mn2 0.1721 0.1721 0.7860  6 O 1.90-1.99
Mn3 0.6686 0.6686 0.0091  6 O 1.92-2.05
Mn4 0.8306 0.3322 0.2846  6 O 1.90-1.96
Mn5 0.3322 0.8306 0.2846  6 O 1.90-1.96
Co1 0.6602 0.1745 0.7881  6 O 1.89-1.99
Co2 0.1745 0.6602 0.7881  6 O 1.89-1.99
Co3 0.8279 0.8279 0.2840  6 O 1.90-1.96
O1 0.6761 0.1584 0.3960  1 Li 1.90, 2 Mn 1.93-2.02, 1 Co 1.96
O2 0.4895 0.4895 0.6748  1 Li 1.88, 2 Co 1.89
O3 0.3330 0.3330 0.8915  2 Co 1.89, 1 Mn 1.90, 1 Li 1.95
O4 0.0029 0.0029 0.6945  1 Li 1.77, 1 Mn 1.90, 2 Co 1.91
O5 0.9971 0.9971 0.1874  1 Li 1.76, 1 Co 1.90, 2 Mn 1.90
O6 0.1584 0.6761 0.3960  1 Li 1.90, 2 Mn 1.93-2.02, 1 Co 1.96
O7 0.4847 0.0430 0.6626  1 Li 1.93, 2 Mn 1.94-2.00, 1 Co 1.95
O8 0.0430 0.4847 0.6626  1 Li 1.93, 2 Mn 1.94-2.00, 1 Co 1.95
O9 0.8342 0.8342 0.9020  1 Li 1.85, 1 Mn 1.92, 2 Co 1.99
O10 0.1550 0.1550 0.3916  2 Mn 1.91, 1 Li 1.93
O11 0.9596 0.5183 0.1596  1 Li 1.94, 1 Co 1.95, 2 Mn 1.95-2.03
O12 0.5183 0.9596 0.1596  1 Li 1.94, 1 Co 1.95, 2 Mn 1.95-2.03
O13 0.6624 0.6624 0.3908  1 Co 1.91, 2 Mn 1.93, 1 Li 2.05
O14 0.8382 0.3274 0.9037  1 Li 1.89, 2 Mn 1.97-1.99, 1 Co 1.99
O15 0.5180 0.5180 0.1598  1 Li 1.94, 3 Mn 1.96-2.05
O16 0.3274 0.8382 0.9037  1 Li 1.89, 2 Mn 1.97-1.99, 1 Co 1.99

---

No. 2
Here is crystalline Sr2NiRuO6 at its relaxed geometry from the Materials Project database. Energies are from GGA+U.

Output
For the energy with MP2020 corrections, the calculation gives -69.55 eV/f.u. For the total DFT energy (no corrections), the calculation gives -6.29 eV/atom. Its formation energy is -21.43 eV per formula unit.

abc: 5.6108 7.9341 5.6108
angles: 90.00 90.00 90.00
Closest atoms and distances in Å follow each position.
Fractional coordinates of all 20 atoms:
Sr1 0.5000 0.2500 0.0000  12 O 2.81
Sr2 0.0000 0.7500 0.5000  12 O 2.81
Sr3 0.5000 0.7500 0.0000  12 O 2.81
Sr4 0.0000 0.2500 0.5000  12 O 2.81
Ni1 0.0000 0.0000 0.0000  6 O 2.03
Ni2 0.5000 0.5000 0.5000  6 O 2.03
Ru1 0.5000 0.0000 0.5000  6 O 1.93
Ru2 0.0000 0.5000 0.0000  6 O 1.93
O1 0.0000 0.2563 0.0000  1 Ru 1.93, 1 Ni 2.03
O2 0.5000 0.7563 0.5000  1 Ru 1.93, 1 Ni 2.03
O3 0.2437 0.5000 0.2437  1 Ru 1.93, 1 Ni 2.03
O4 0.7437 0.0000 0.7437  1 Ru 1.93, 1 Ni 2.03
O5 0.2437 0.5000 0.7563  1 Ru 1.93, 1 Ni 2.03
O6 0.7437 0.0000 0.2563  1 Ru 1.93, 1 Ni 2.03
O7 0.0000 0.7437 0.0000  1 Ru 1.93, 1 Ni 2.03
O8 0.5000 0.2437 0.5000  1 Ru 1.93, 1 Ni 2.03
O9 0.7563 0.5000 0.7563  1 Ru 1.93, 1 Ni 2.03
O10 0.2563 0.0000 0.2563  1 Ru 1.93, 1 Ni 2.03
O11 0.7563 0.5000 0.2437  1 Ru 1.93, 1 Ni 2.03
O12 0.2563 0.0000 0.7437  1 Ru 1.93, 1 Ni 2.03

---

No. 3
Here is crystalline Li10V5Cr3O16 at its relaxed geometry from the Materials Project database. Energies are from GGA+U.

Output
For the energy with MP2020 corrections, the calculation gives -250.49 eV/f.u. For the total DFT energy (no corrections), the calculation gives -6.62 eV/atom. Its space-group type is Cm (8). Its formation energy is -77.86 eV per formula unit.

abc: 6.0362 6.0362 9.9180
angles: 89.45 89.45 59.49
Closest atoms and distances in Å follow each position.
Fractional coordinates of all 34 atoms:
Li1 0.1986 0.1986 0.4580  3 O 1.98-2.07, 1 Li 2.12
Li2 0.0064 0.0064 0.5277  4 O 1.86
Li3 0.6081 0.1931 0.4530  3 O 1.99-2.10, 1 Li 2.21
Li4 0.3336 0.3336 0.2395  6 O 2.07-2.25
Li5 0.1931 0.6081 0.4530  3 O 1.99-2.10, 1 Li 2.21
Li6 0.8078 0.3963 0.9573  3 O 1.97-2.07, 1 Li 2.17
Li7 0.3963 0.8078 0.9573  3 O 1.97-2.07, 1 Li 2.17
Li8 0.6716 0.6716 0.7387  6 O 2.09-2.22
Li9 0.8034 0.8034 0.9555  3 O 1.98-2.12, 1 Li 2.19
Li10 0.0000 0.0000 0.0271  4 O 1.85-1.88
V1 0.1725 0.6666 0.7287  6 O 2.05-2.11
V2 0.3353 0.3353 0.9869  6 O 2.18-2.20
V3 0.6666 0.1725 0.7287  6 O 2.05-2.11
V4 0.6706 0.6706 0.4859  6 O 2.17-2.22
V5 0.8313 0.8313 0.2292  6 O 2.04-2.13
Cr1 0.1710 0.1710 0.7275  6 O 2.05-2.06
Cr2 0.8309 0.3362 0.2274  6 O 2.04-2.07
Cr3 0.3362 0.8309 0.2274  6 O 2.04-2.07
O1 0.1588 0.1588 0.1091  1 Li 1.86, 2 Cr 2.07
O2 0.4938 0.0163 0.8454  3 Li 1.97-2.09, 1 Cr 2.05, 2 V 2.07-2.18
O3 0.6782 0.1610 0.1136  1 Li 1.88, 1 V 2.06, 1 Cr 2.07
O4 0.0054 0.0054 0.8409  1 Li 1.85, 1 Cr 2.06
O5 0.3335 0.3335 0.6091  1 Cr 2.06, 3 Li 2.07-2.10, 2 V 2.11
O6 0.0163 0.4938 0.8454  3 Li 1.97-2.09, 1 Cr 2.05, 2 V 2.07-2.18
O7 0.4961 0.4961 0.8452  3 Li 2.00-2.11, 3 V 2.05-2.18
O8 0.8454 0.3257 0.6114  1 Li 1.86, 1 Cr 2.05, 1 V 2.08
O9 0.1610 0.6782 0.1136  1 Li 1.88, 1 V 2.06, 1 Cr 2.07
O10 0.5095 0.5095 0.3459  3 Li 1.99-2.13, 2 Cr 2.04, 1 V 2.20
O11 0.3257 0.8454 0.6114  1 Li 1.86, 1 Cr 2.05, 1 V 2.08
O12 0.9870 0.5036 0.3429  3 Li 1.98-2.07, 2 V 2.04-2.17, 1 Cr 2.06
O13 0.6633 0.6633 0.1109  2 Cr 2.05, 3 Li 2.07-2.12, 1 V 2.13
O14 0.5036 0.9870 0.3429  3 Li 1.98-2.07, 2 V 2.04-2.17, 1 Cr 2.06
O15 0.8459 0.8459 0.6090  1 Li 1.86, 2 V 2.08
O16 0.0024 0.0024 0.3404  1 Li 1.86, 2 Cr 2.06

---

No. 4
Here is crystalline Li9Mn2Co5O16 at its relaxed geometry from the Materials Project database. Energies are from GGA+U.

Output
For the energy with MP2020 corrections, the calculation gives -208.59 eV/f.u. The offset from the most stable computed form comes out at 40 meV/atom. For the total DFT energy (no corrections), the calculation gives -5.81 eV/atom. Its space-group type is P1 (1). Its formation energy is -58.38 eV per formula unit.

abc: 5.0624 5.1237 11.4749
angles: 80.08 84.51 80.18
Closest atoms and distances in Å follow each position.
Fractional coordinates of all 32 atoms:
Li1 0.7519 0.5641 0.9370  6 O 2.09-2.25
Li2 0.7446 0.8078 0.6753  5 O 2.01-2.20
Li3 0.2474 0.6914 0.8077  6 O 2.05-2.24
Li4 0.2453 0.9397 0.5570  6 O 2.08-2.22
Li5 0.7613 0.0632 0.4383  6 O 2.08-2.27
Li6 0.7432 0.3132 0.1961  6 O 2.02-2.25
Li7 0.2490 0.4376 0.0654  6 O 2.11-2.20
Li8 0.2580 0.1902 0.3237  4 O 2.01-2.15
Li9 0.0007 0.4993 0.4992  6 O 2.09-2.15
Mn1 0.9996 0.9981 0.9993  6 O 1.92-1.96
Mn2 0.5008 0.3705 0.6216  6 O 1.89-2.03
Co1 0.9996 0.2569 0.7417  5 O 1.88-2.08
Co2 0.9988 0.7429 0.2593  4 O 1.87-2.05
Co3 0.4964 0.6323 0.3803  6 O 1.92-2.14
Co4 0.5059 0.8786 0.1271  5 O 1.91-2.07
Co5 0.4964 0.1221 0.8726  6 O 1.96-2.11
O1 0.8674 0.6864 0.0912  1 Mn 1.94, 1 Co 1.97, 2 Li 2.14-2.15
O2 0.8785 0.9259 0.8532  1 Mn 1.95, 2 Co 2.03-2.08, 2 Li 2.11
O3 0.3561 0.8064 0.9623  1 Mn 1.95, 1 Co 1.96, 2 Li 2.11-2.17
O4 0.3749 0.0511 0.7183  1 Mn 1.98, 2 Co 2.03-2.04, 2 Li 2.12-2.13
O5 0.8528 0.1628 0.6034  1 Mn 1.93, 1 Co 1.98, 3 Li 2.01-2.16
O6 0.8692 0.4347 0.3382  2 Co 1.87-2.04, 1 Li 2.03
O7 0.3809 0.5661 0.2145  2 Co 1.91-2.05, 2 Li 2.07-2.14
O8 0.3941 0.2910 0.4797  1 Mn 1.89, 1 Co 2.03, 3 Li 2.08-2.10
O9 0.6117 0.4429 0.7767  2 Co 1.96-2.07, 1 Mn 2.03, 1 Li 2.09
O10 0.6104 0.6881 0.5367  1 Mn 1.89, 3 Li 2.01-2.09, 1 Co 2.02
O11 0.1365 0.5631 0.6627  1 Co 1.88, 1 Mn 1.99, 1 Li 2.05
O12 0.1450 0.8394 0.3988  2 Co 1.92-1.99, 4 Li 2.01-2.13
O13 0.6345 0.9636 0.2807  3 Co 2.01-2.07, 3 Li 2.02-2.14
O14 0.6376 0.1892 0.0301  1 Mn 1.96, 2 Co 1.96-2.11, 1 Li 2.17
O15 0.1165 0.3155 0.9087  1 Mn 1.92, 2 Co 2.05-2.14, 1 Li 2.09
O16 0.1349 0.0659 0.1432  1 Mn 1.95, 2 Co 1.97-2.11, 1 Li 2.11

---

> energy with MP2020 corrections of number 1 (Li4Mn5Co3O16)?

-205.61 eV/f.u.